VASP calculation (PBE with a Hubbard U) on a relaxed MgTiVO4 crystal.

## Properties
Raw total energy, eV per atom: -7.66
Offset from the most stable computed form, eV/atom: 0.0937
Energy of formation, meV per atom: -2815
Density, g/cm3: 3.97
Magnetization, μB/f.u.: 3.0

Cell: 5.0515 2.9883 5.1881 Å, 90.00 90.75 90.00°
Last column: nearest neighbours and their distance in Å.
Space group P2 (No. 3)
Unique sites:
Mg1 0.0000 0.0000 0.0000 x1  6 O 1.98-2.10
Ti1 0.5000 0.5305 0.0000 x1  6 O 1.90-2.11
V1 0.0000 0.9947 0.5000 x1  6 O 2.21-2.32
O1 0.1672 0.4944 0.7716 x2  1 Ti 2.05, 2 Mg 2.08-2.10, 2 V 2.21
O2 0.3367 0.9834 0.2013 x2  2 Ti 1.90-2.11, 1 Mg 1.98

***

VASP calculation (PBE with a Hubbard U) on a relaxed NaSmEuWO6 crystal.

## Properties
Raw total energy, eV per atom: -7.85
Energy of formation, meV per atom: -2815
Density, g/cm3: 6.66
Magnetization, μB/f.u.: 7.0

Cell: 8.4507 8.4507 8.4507 Å, 90.00 90.00 90.00°
Last column: nearest neighbours and their distance in Å.
Space group F-43m (No. 216)
Unique sites:
Na1 0.0000 0.0000 0.0000 x4  12 O 2.99
Sm1 0.2500 0.2500 0.7500 x4  6 O 2.28
Eu1 0.0000 0.0000 0.5000 x4  12 O 2.99
W1 0.2500 0.2500 0.2500 x4  6 O 1.95
O1 0.0196 0.2500 0.2500 x24  1 W 1.95

***

VASP calculation (PBE with a Hubbard U) on a relaxed Li4TiCr3O8 crystal.

## Properties
Raw total energy, eV per atom: -7.05
Energy of formation, meV per atom: -2516
Density, g/cm3: 4.04
Magnetization, μB/f.u.: 8.0

Cell: 5.9156 5.9156 14.6476 Å, 90.00 90.00 120.00°
Last column: nearest neighbours and their distance in Å.
Space group R-3m (No. 166, hexagonal axes)
Unique sites:
Li1 0.0000 0.0000 0.0000 x3  6 O 2.14
Li2 0.0000 0.5000 0.0000 x9  6 O 2.16-2.17
Ti1 0.0000 0.0000 0.5000 x3  6 O 2.06
Cr1 0.0000 0.5000 0.5000 x9  6 O 2.03-2.04
O1 0.0000 0.0000 0.2414 x6  3 Cr 2.03, 3 Li 2.17
O2 0.0024 0.5012 0.7562 x18  2 Cr 2.04, 1 Ti 2.06, 3 Li 2.14-2.16

***

VASP calculation (PBE with a Hubbard U) on a relaxed BaV4O7 crystal.

## Properties
Raw total energy, eV per atom: -7.42
Energy of formation, meV per atom: -2311
Density, g/cm3: 3.70
Magnetization, μB/f.u.: 8.0

Cell: 6.5847 6.5847 10.8297 Å, 90.00 90.00 120.00°
Last column: nearest neighbours and their distance in Å.
Space group P6_3mc (No. 186)
Unique sites:
Ba1 0.3333 0.6667 0.0000 x2  9 O 2.97-3.30
V1 0.0000 0.0000 0.4146 x2  4 O 1.88-2.03
V2 0.1699 0.3397 0.6589 x6  4 O 1.89-2.07
O1 0.0000 0.0000 0.2275 x2  4 V 2.03-2.07
O2 0.0168 0.5084 0.7032 x6  2 V 1.90
O3 0.1505 0.3009 0.4857 x6  2 V 1.88-1.89

***

VASP calculation (PBE with a Hubbard U) on a relaxed Ba2Y2FeCo2CuO10 crystal.

## Properties
Raw total energy, eV per atom: -6.89
Energy of formation, meV per atom: -2413
Density, g/cm3: 5.99
Magnetization, μB/f.u.: 8.9

Cell: 5.5309 5.5309 15.4011 Å, 90.00 90.00 90.00°
Last column: nearest neighbours and their distance in Å.
Space group I4mm (No. 107)
Unique sites:
Ba1 0.0000 0.5000 0.0000 x4  8 O 2.77-3.07
Y1 0.0000 0.5000 0.2474 x4  8 O 2.41-2.43
Fe1 0.0000 0.0000 0.3703 x2  5 O 1.89-1.99
Co1 0.0000 0.0000 0.1295 x2  5 O 2.00-2.03
Co2 0.0000 0.0000 0.6326 x2  5 O 1.97-2.15
Cu1 0.0000 0.0000 0.8614 x2  5 O 2.01-2.10
O1 0.0000 0.0000 0.4933 x2  1 Fe 1.89
O2 0.0000 0.0000 0.9976 x2  1 Co 2.03, 1 Cu 2.10
O3 0.2467 0.2467 0.3383 x8  1 Fe 1.99, 1 Cu 2.01
O4 0.2489 0.2489 0.6533 x8  2 Co 1.97-2.00

***

VASP calculation (PBE with a Hubbard U) on a relaxed MgTeWO6 crystal.

## Properties
Raw total energy, eV per atom: -6.40
Offset from the most stable computed form, eV/atom: 0.0224
Energy of formation, meV per atom: -2090
Density, g/cm3: 5.71
Magnetization, μB/f.u.: 0.0

Cell: 5.3148 5.4927 5.7112 Å, 63.85 62.36 62.74°
Last column: nearest neighbours and their distance in Å.
Space group P1 (No. 1)
Unique sites:
Mg1 0.0000 0.0000 0.0000 x1  5 O 1.98-2.12
Te1 0.8416 0.7453 0.6978 x1  3 O 1.93-2.03
W1 0.2991 0.2532 0.2484 x1  3 O 1.83-1.87
O1 0.0365 0.5769 0.0974 x1  1 W 1.83
O2 0.0606 0.0127 0.6078 x1  1 Te 2.03, 1 W 2.07, 1 Mg 2.08
O3 0.1804 0.4613 0.5329 x1  1 Te 1.93, 1 W 2.09
O4 0.3105 0.0270 0.0801 x1  1 W 1.84, 1 Mg 1.98
O5 0.6383 0.3562 0.9824 x1  1 W 1.87, 1 Mg 2.02
O6 0.6755 0.9522 0.4004 x1  1 Te 1.93, 1 Mg 2.12